Material: NaP4Ru2O14
Method: DFT, PBE-GGA
State: optimized geometry

```
21
Lattice="4.858 0.000 0.000 -2.070 6.774 0.000 -0.371 -0.278 8.028" Properties=species:S:1:pos:R:3 pbc="T T T"
Na 0.074 6.689 0.156
P 1.413 2.433 1.925
P 0.997 4.080 6.106
P 2.587 5.073 2.450
P -0.173 1.432 5.592
Ru 3.819 3.384 0.000
Ru 2.242 -0.133 4.021
O 2.259 2.235 0.641
O 0.142 4.273 7.384
O 0.323 2.925 5.222
O 2.093 3.577 2.812
O 1.360 6.010 2.453
O 1.047 0.484 5.578
O 1.079 5.335 5.276
O 1.343 1.156 2.728
O -0.025 2.878 1.624
O 2.434 3.633 6.416
O -0.736 1.436 7.034
O 3.171 5.073 1.013
O 3.642 1.204 4.497
O -1.231 5.303 3.543
```

Properties
* raw total energy: -148.837 eV/f.u.
* symmetry: P1, No. 1
* ΔE_f: -2.269 eV/atom

Material: Na3PS2O2
Method: DFT, PBE-GGA
State: optimized geometry

```
64
Lattice="-2.890 -3.940 -3.305 1.359 -7.861 8.181 -15.322 5.041 7.389" Properties=species:S:1:pos:R:3 pbc="T T T"
Na -15.274 2.054 7.248
Na -10.998 -1.913 9.872
Na -12.093 2.154 5.982
Na -3.671 -4.888 5.796
Na -9.228 -0.934 6.684
Na -16.506 -1.150 6.880
Na -13.417 -3.263 13.122
Na -5.855 -4.846 2.392
Na -5.829 -5.883 9.344
Na -13.183 -1.871 6.469
Na -1.579 -8.813 5.017
Na -7.625 -5.825 5.580
Na -0.347 -5.609 5.385
Na -11.024 -0.876 2.921
Na -4.760 -8.913 6.282
Na -1.640 -3.555 2.906
Na -12.088 -5.938 10.359
Na -15.213 -3.204 9.359
Na -7.049 0.303 4.199
Na -4.766 -0.821 1.906
Na -3.436 -3.496 -0.858
Na -8.573 -3.858 8.434
Na -9.804 -7.062 8.066
Na -8.281 -2.901 3.831
P -15.934 0.779 4.330
P -9.007 -5.600 11.141
P -13.968 -0.261 9.115
P -7.846 -1.159 1.124
P -0.919 -7.538 7.934
P -2.885 -6.498 3.150
P -10.973 -4.560 6.356
P -5.880 -2.199 5.909
S -9.719 1.224 4.660
S -4.847 -2.717 4.194
S -6.634 -2.707 0.481
S -14.657 -5.274 11.458
S -10.803 -2.835 5.181
S -7.134 -7.983 7.605
S -4.703 -7.050 3.967
S -13.573 -1.215 10.936
S -2.915 -7.060 7.680
S -13.938 0.300 4.584
S -10.219 -4.052 11.784
S -2.196 -1.485 0.807
S -6.050 -3.924 7.084
S -12.006 -4.042 8.071
S -3.280 -5.544 1.329
S -12.151 0.291 8.297
O -9.836 -6.581 10.283
O -7.807 -5.018 10.359
O -7.275 -1.657 5.520
O -0.247 -7.676 6.549
O -13.725 3.641 6.765
O -14.835 1.002 9.330
O -14.659 -1.287 8.191
O -7.017 -0.178 1.981
O -3.128 -10.400 5.500
O -2.194 -5.472 4.074
O -16.606 0.917 5.716
O -8.903 -1.653 8.857
O -7.951 -5.106 3.407
O -9.046 -1.741 1.906
O -9.578 -5.102 6.744
O -2.018 -7.761 2.934
```

Properties
* raw total energy: -39.988 eV/f.u.
* symmetry: Pbca, No. 61
* ΔE_f: -1.852 eV/atom

Material: Na2P2S2O7
Method: DFT, PBE-GGA
State: optimized geometry

```
52
Lattice="-7.373 4.083 2.175 -0.213 -8.551 -2.244 0.504 -5.501 13.447" Properties=species:S:1:pos:R:3 pbc="T T T"
Na -1.263 -5.414 1.905
Na -5.819 -4.556 11.473
Na -5.998 -1.570 1.236
Na -1.084 -8.400 12.142
Na -1.907 -8.340 4.196
Na -5.175 -1.630 9.182
Na -2.217 -3.704 10.433
Na -4.865 -6.267 2.945
P -3.884 -10.948 10.847
P -3.198 0.978 2.532
P -5.904 1.642 1.590
P -1.178 -11.612 11.788
P -2.123 -6.051 7.952
P -4.959 -3.919 5.426
P -2.028 -4.651 5.226
P -5.054 -5.319 8.153
S -0.190 -12.176 10.224
S -6.892 2.206 3.154
S -2.335 -0.669 3.491
S -4.747 -9.301 9.887
S -0.711 -3.377 4.609
S -6.372 -6.593 8.769
S -1.185 -7.941 7.610
S -5.897 -2.029 5.769
O -0.957 -5.411 -0.539
O -6.125 -4.559 13.917
O -2.428 -10.531 11.401
O -4.654 0.561 1.977
O -2.573 -7.356 -1.078
O -4.509 -2.614 14.457
O -3.411 -6.354 1.151
O -3.671 -3.616 12.228
O -1.777 -5.506 9.280
O -5.305 -4.464 4.098
O -4.679 -4.119 8.993
O -2.404 -5.851 4.385
O -3.698 -6.154 7.673
O -3.384 -3.816 5.705
O -1.551 -5.196 6.719
O -5.531 -4.774 6.659
O -5.682 -1.549 11.416
O -1.400 -8.422 1.962
O -0.838 -8.529 8.993
O -6.245 -1.442 4.385
O -2.977 -3.207 0.908
O -4.105 -6.763 12.471
O -4.918 -8.139 5.614
O -2.165 -1.831 7.764
O -4.325 0.175 6.652
O -2.757 -10.145 6.726
O -2.856 -6.734 12.255
O -4.226 -3.236 1.123
```

Properties
* raw total energy: -72.837 eV/f.u.
* symmetry: P-1, No. 2
* ΔE_f: -1.353 eV/atom

Material: Na3Sc4P3S3O24
Method: DFT, PBE-GGA
State: optimized geometry

```
111
Lattice="8.887 -0.020 -0.022 -4.461 7.685 0.023 -0.056 0.033 23.068" Properties=species:S:1:pos:R:3 pbc="T T T"
Na 1.572 2.761 5.801
Na 5.984 0.208 21.131
Na 7.269 2.356 9.598
Na -4.431 7.676 11.564
Na -4.414 7.642 0.040
Na 4.330 2.602 19.204
Na 4.415 2.560 7.682
Na -0.090 5.214 3.841
Na -0.049 5.139 15.387
Sc 0.089 0.027 8.105
Sc 4.400 7.646 19.644
Sc 8.745 0.046 14.927
Sc -0.028 0.042 3.427
Sc 4.506 2.527 15.801
Sc 4.539 2.433 4.262
Sc 4.341 2.578 22.638
Sc 4.383 2.607 11.109
Sc 0.018 5.230 0.426
Sc -0.114 5.050 11.965
Sc -0.134 5.120 7.282
Sc 0.022 5.229 18.810
P -1.873 7.675 5.751
P 7.565 2.224 5.780
P 6.252 0.014 17.306
P 6.998 2.558 13.420
P 5.761 0.298 1.878
P 2.541 5.119 21.149
P -1.391 7.391 21.157
P 1.292 2.899 9.590
P -2.653 5.151 9.642
S 3.120 5.433 5.767
S 1.253 2.265 17.296
S -3.199 5.468 17.300
S 3.110 0.328 13.453
S 3.102 4.810 13.471
S 5.725 4.784 1.919
S 1.831 2.566 1.941
S -1.344 2.926 21.154
S 1.255 7.356 9.626
O 1.707 0.252 6.978
O 3.702 6.046 6.967
O 7.799 1.396 7.062
O 1.014 1.442 18.500
O 5.105 6.069 18.489
O 7.095 0.220 18.586
O 2.692 7.499 16.093
O 0.678 1.625 16.091
O -3.442 6.293 16.104
O 3.364 6.248 4.559
O -0.655 1.582 4.571
O -2.766 7.474 4.515
O 6.097 2.760 14.657
O 3.686 0.969 14.659
O 3.344 3.984 14.669
O 5.455 3.977 3.123
O 5.125 0.969 3.112
O 2.637 2.765 3.165
O 2.685 2.376 0.748
O 5.138 4.161 0.710
O 5.496 1.138 0.603
O 3.349 1.150 12.250
O 3.684 4.188 12.262
O 6.156 2.353 12.142
O 1.643 5.385 22.380
O -0.769 3.532 22.361
O -1.137 6.529 22.406
O 1.006 6.551 10.836
O 0.616 3.565 10.817
O -1.764 5.364 10.881
O -1.762 4.880 8.405
O 0.677 6.749 8.422
O 1.048 3.719 8.302
O -1.108 3.729 19.944
O -0.710 6.745 19.925
O 1.667 4.910 19.898
O -3.565 6.370 9.485
O 2.731 7.539 9.490
O 0.567 1.517 9.480
O -0.765 1.549 21.015
O -2.904 7.571 20.994
O 3.379 6.429 20.992
O 7.902 1.306 13.582
O 1.641 0.175 13.609
O 3.747 6.146 13.600
O 5.113 6.133 2.050
O 7.290 0.150 2.048
O 0.993 1.341 2.048
O 5.349 1.266 17.146
O 2.722 2.418 17.140
O 5.042 4.111 17.149
O 3.698 4.065 5.610
O 6.050 2.415 5.620
O 3.410 1.315 5.597
O 3.455 3.898 21.311
O 6.060 2.721 21.266
O 3.787 1.086 21.290
O 5.125 1.044 9.737
O 2.804 2.712 9.771
O 5.405 3.817 9.765
O 0.958 3.752 1.778
O -1.687 4.918 1.799
O 0.637 6.584 1.804
O -0.705 6.683 13.335
O 1.637 4.978 13.314
O -0.991 3.838 13.345
O -0.953 6.463 5.920
O 1.642 5.268 5.900
O -0.607 3.628 5.907
O 0.606 3.595 17.437
O -1.735 5.299 17.458
O 0.894 6.440 17.426
```

Properties
* raw total energy: -265.619 eV/f.u.
* symmetry: P1, No. 1
* ΔE_f: -2.849 eV/atom

Material: NaSc2PS2O12
Method: DFT, PBE-GGA
State: optimized geometry

```
108
Lattice="8.829 0.000 0.000 -4.414 7.646 0.000 0.000 -0.001 23.134" Properties=species:S:1:pos:R:3 pbc="T T T"
Na 4.374 7.613 11.566
Na -4.374 7.612 23.133
Na 4.421 2.493 19.278
Na 4.408 2.494 7.711
Na -0.050 5.112 3.856
Na 0.050 5.111 15.423
Sc 0.011 0.015 8.145
Sc 8.818 0.014 19.713
Sc 4.314 7.578 14.984
Sc -4.314 7.579 3.417
Sc 4.395 2.551 15.858
Sc 4.434 2.551 4.291
Sc 4.413 2.563 22.699
Sc 4.416 2.564 11.132
Sc -0.112 5.147 0.437
Sc 0.112 5.146 12.004
Sc -0.018 5.216 7.275
Sc 0.018 5.216 18.842
P 2.575 0.017 5.795
P 6.253 0.017 17.362
P 3.140 4.757 13.495
P 5.689 4.757 1.928
P -1.300 7.349 21.205
P 1.300 7.349 9.638
S 3.127 5.414 5.784
S -1.275 2.231 5.778
S 1.275 2.230 17.345
S 5.702 5.413 17.351
S 6.993 2.562 13.492
S 3.112 0.321 13.497
S 5.717 0.321 1.930
S 1.836 2.562 1.925
S 2.567 5.095 21.215
S -1.282 2.874 21.197
S 1.282 2.874 9.629
S -2.567 5.096 9.648
O 1.687 0.217 7.040
O 3.726 6.028 6.990
O 7.769 1.399 6.990
O 1.060 1.399 18.557
O 5.103 6.028 18.557
O 7.141 0.217 18.607
O 2.718 7.431 16.106
O 0.694 1.605 16.134
O -3.341 6.249 16.142
O 3.341 6.249 4.575
O -0.694 1.606 4.567
O -2.718 7.432 4.539
O 6.159 2.759 14.703
O 3.735 0.924 14.702
O 3.391 3.897 14.752
O 5.437 3.897 3.185
O 5.094 0.925 3.135
O 2.670 2.760 3.136
O 2.669 2.326 0.721
O 5.070 4.110 0.671
O 5.470 1.143 0.721
O 3.359 1.142 12.288
O 3.758 4.109 12.238
O 6.160 2.325 12.288
O 1.737 5.300 22.422
O -0.674 3.474 22.414
O -1.042 6.463 22.451
O 1.042 6.463 10.884
O 0.674 3.475 10.847
O -1.737 5.300 10.855
O -1.743 4.870 8.432
O 0.663 6.681 8.394
O 1.045 3.693 8.424
O -1.045 3.693 19.991
O -0.663 6.681 19.961
O 1.743 4.870 19.999
O -3.423 6.298 9.490
O 2.831 7.474 9.465
O 0.672 1.527 9.496
O -0.672 1.527 21.064
O -2.831 7.474 21.032
O 3.423 6.297 21.057
O 7.856 1.360 13.644
O 1.652 0.195 13.658
O 3.779 6.166 13.639
O 5.050 6.166 2.072
O 7.177 0.195 2.091
O 0.973 1.360 2.076
O 5.357 1.262 17.180
O 2.752 2.366 17.207
O 5.082 4.077 17.201
O 3.747 4.078 5.634
O 6.077 2.366 5.640
O 3.472 1.262 5.613
O 3.427 3.894 21.350
O 6.078 2.732 21.355
O 3.770 1.091 21.380
O 5.058 1.091 9.813
O 2.750 2.733 9.788
O 5.402 3.894 9.783
O 0.995 3.765 1.765
O -1.600 4.908 1.785
O 0.691 6.619 1.778
O -0.691 6.618 13.345
O 1.600 4.908 13.352
O -0.995 3.765 13.332
O -0.961 6.388 5.930
O 1.660 5.259 5.932
O -0.661 3.565 5.946
O 0.661 3.565 17.513
O -1.660 5.258 17.499
O 0.961 6.387 17.497
```

Properties
* raw total energy: -128.667 eV/f.u.
* symmetry: Cc, No. 9
* ΔE_f: -2.770 eV/atom